# 1
## TaCo (r²SCAN)

Data for an optimized crystal structure of TaCo.

## Properties
The crystal system is trigonal. The space-group type is No. 166.

Lattice parameters (Å, degrees): 4.8947 4.8949 17.5087 81.97 90.00 120.00
With the nearest neighbours (Å) after each atom.
Fractional positions:
Ta (0.1733, 0.3466, 0.4802)  7 Ta 2.72-2.91, 9 Co 2.76-2.98
Ta (0.6712, 0.3424, 0.9863)  6 Co 2.61-2.84, 4 Ta 2.73-2.87
Ta (0.3288, 0.6576, 0.0137)  6 Co 2.61-2.84, 4 Ta 2.73-2.87
Ta (0.8267, 0.6534, 0.5198)  7 Ta 2.72-2.91, 9 Co 2.76-2.98
Ta (0.2259, 0.4518, 0.3228)  2 Ta 2.61-2.72, 6 Co 2.65
Ta (0.7239, 0.4478, 0.8283)  2 Ta 2.61-2.73, 6 Co 2.65
Ta (0.2761, 0.5522, 0.1717)  2 Ta 2.61-2.73, 6 Co 2.65
Ta (0.7741, 0.5482, 0.6772)  2 Ta 2.61-2.72, 6 Co 2.65
Ta (0.5835, 0.1671, 0.2493)  6 Co 2.70-2.76, 3 Ta 2.83
Ta (0.0823, 0.1646, 0.7531)  6 Co 2.70-2.71, 3 Ta 2.83
Ta (0.9177, 0.8354, 0.2469)  6 Co 2.70-2.71, 3 Ta 2.83
Ta (0.4165, 0.8329, 0.7507)  6 Co 2.70-2.76, 3 Ta 2.83
Ta (0.5000, 0.0000, 0.5000)  6 Co 2.51
Co (0.7973, 0.0902, 0.1126)  5 Co 2.40-2.47, 3 Ta 2.61-2.65
Co (0.2894, 0.0916, 0.6185)  4 Co 2.38-2.51, 3 Ta 2.51-2.65
Co (0.2929, 0.0902, 0.1126)  5 Co 2.40-2.47, 3 Ta 2.61-2.65
Co (0.8021, 0.0916, 0.6185)  4 Co 2.38-2.51, 3 Ta 2.51-2.65
Co (0.7973, 0.5945, 0.1126)  5 Co 2.40-2.47, 3 Ta 2.61-2.65
Co (0.2894, 0.5787, 0.6185)  4 Co 2.38-2.51, 3 Ta 2.51-2.65
Co (0.7106, 0.9084, 0.3815)  4 Co 2.38-2.51, 3 Ta 2.51-2.65
Co (0.2027, 0.9098, 0.8874)  5 Co 2.40-2.47, 3 Ta 2.61-2.65
Co (0.1979, 0.9084, 0.3815)  4 Co 2.38-2.51, 3 Ta 2.51-2.65
Co (0.7071, 0.9098, 0.8874)  5 Co 2.40-2.47, 3 Ta 2.61-2.65
Co (0.7106, 0.4213, 0.3815)  4 Co 2.38-2.51, 3 Ta 2.51-2.65
Co (0.2027, 0.4055, 0.8874)  5 Co 2.40-2.47, 3 Ta 2.61-2.65
Co (0.0000, 0.0000, 0.0000)  6 Co 2.40

# 2
## CeAlO3 (r²SCAN)

Data for an optimized crystal structure of CeAlO3.

## Properties
The crystal system is trigonal. The space-group type is No. 167.

Lattice parameters (Å, degrees): 5.3103 5.3103 5.3103 60.42 60.42 60.42
With the nearest neighbours (Å) after each atom.
Fractional positions:
Ce (0.7500, 0.7500, 0.7500)  9 O 2.49-2.66
Ce (0.2500, 0.2500, 0.2500)  9 O 2.49-2.66
Al (0.5000, 0.5000, 0.5000)  6 O 1.89
Al (0.0000, 0.0000, 0.0000)  6 O 1.89
O (0.2847, 0.7500, 0.2153)  2 Al 1.89
O (0.7500, 0.2153, 0.2847)  2 Al 1.89
O (0.2153, 0.2847, 0.7500)  2 Al 1.89
O (0.7153, 0.2500, 0.7847)  2 Al 1.89
O (0.7847, 0.7153, 0.2500)  2 Al 1.89
O (0.2500, 0.7847, 0.7153)  2 Al 1.89

# 3
## CaPmHg2 (r²SCAN)

Data for an optimized crystal structure of CaPmHg2.

## Properties
The crystal system is cubic. The space-group type is No. 225.

Lattice parameters (Å, degrees): 5.3282 5.3282 5.3282 60.00 60.00 60.00
With the nearest neighbours (Å) after each atom.
Fractional positions:
Ca (0.2500, 0.2500, 0.2500)  8 Hg 3.26
Pm (0.7500, 0.7500, 0.7500)  8 Hg 3.26
Hg (0.0000, 0.0000, 0.0000)  4 Pm 3.26, 4 Ca 3.26
Hg (0.5000, 0.5000, 0.5000)  4 Pm 3.26, 4 Ca 3.26

# 4
## Li3Cu2O4 (r²SCAN)

Data for an optimized crystal structure of Li3Cu2O4.

## Properties
The crystal system is monoclinic. The space-group type is No. 8.

Lattice parameters (Å, degrees): 5.1541 5.1541 7.1514 62.89 62.89 31.04
With the nearest neighbours (Å) after each atom.
Fractional positions:
Li (0.3508, 0.3508, 0.8786)  4 O 1.88-1.94
Li (0.6327, 0.6327, 0.1353)  4 O 1.88-1.96
Li (0.9854, 0.9854, 0.5128)  4 O 2.05-2.06
Cu (0.8348, 0.8348, 0.2738)  4 O 1.88
Cu (0.1490, 0.1490, 0.7376)  4 O 1.88-1.89
O (0.4282, 0.4282, 0.3502)  3 Li 1.88-2.05, 2 Cu 1.88
O (0.5545, 0.5545, 0.6633)  3 Li 1.88-2.06, 2 Cu 1.88
O (0.2492, 0.2492, 0.1843)  2 Cu 1.88, 3 Li 1.93-1.94
O (0.7366, 0.7366, 0.8250)  2 Cu 1.89, 3 Li 1.94-1.96

# 5
## Ni3Se4Cl2O10 (r²SCAN)

Data for an optimized crystal structure of Ni3Se4Cl2O10.

Lattice parameters (Å, degrees): 7.2353 7.7882 11.4633 82.42 73.47 62.26
With the nearest neighbours (Å) after each atom.
Fractional positions:
Ni (0.5001, 0.0001, 0.5001)  4 O 2.08
Ni (0.3743, 0.2532, 0.7501)  4 O 2.02-2.07
Ni (0.6258, 0.7468, 0.7499)  4 O 2.02-2.07
Ni (0.5001, 0.0001, 0.0001)  4 O 2.07-2.08
Ni (0.3743, 0.2532, 0.2501)  4 O 2.02-2.07
Ni (0.6258, 0.7468, 0.2500)  4 O 2.02-2.07
Se (0.9898, 0.3237, 0.1103)  3 O 1.67-1.80
Se (0.9898, 0.3237, 0.6103)  3 O 1.67-1.80
Se (0.3124, 0.6761, 0.1106)  3 O 1.67-1.80
Se (0.3125, 0.6761, 0.6106)  3 O 1.67-1.80
Se (0.0104, 0.6761, 0.3896)  3 O 1.67-1.80
Se (0.0103, 0.6763, 0.8896)  3 O 1.67-1.80
Se (0.6878, 0.3238, 0.3893)  3 O 1.67-1.80
Se (0.6877, 0.3238, 0.8893)  3 O 1.67-1.80
Cl (0.2977, 0.0005, 0.3711)  3 Ni 2.36-2.44
Cl (0.2977, 0.0005, 0.8711)  3 Ni 2.36-2.44
Cl (0.7024, 0.9996, 0.1290)  3 Ni 2.36-2.44
Cl (0.7024, 0.9996, 0.6290)  3 Ni 2.36-2.44
O (0.8879, 0.2240, 0.2495)  2 Se 1.80
O (0.8879, 0.2240, 0.7495)  2 Se 1.80
O (0.1117, 0.7759, 0.2503)  2 Se 1.80
O (0.1116, 0.7759, 0.7502)  2 Se 1.80
O (0.9076, 0.5548, 0.1442)  1 Se 1.67
O (0.9075, 0.5548, 0.6441)  1 Se 1.67
O (0.4629, 0.4451, 0.1442)  1 Se 1.67
O (0.4629, 0.4452, 0.6442)  1 Se 1.67
O (0.0924, 0.4451, 0.3558)  1 Se 1.67
O (0.0923, 0.4452, 0.8557)  1 Se 1.67
O (0.5373, 0.5548, 0.3558)  1 Se 1.67
O (0.5372, 0.5548, 0.8558)  1 Se 1.67
O (0.2520, 0.2186, 0.1170)  1 Se 1.70
O (0.2519, 0.2186, 0.6170)  1 Se 1.70
O (0.4692, 0.7816, 0.1168)  1 Se 1.70
O (0.4691, 0.7817, 0.6168)  1 Se 1.70
O (0.7482, 0.7813, 0.3832)  1 Se 1.70
O (0.7481, 0.7813, 0.8832)  1 Se 1.70
O (0.5306, 0.2186, 0.3834)  1 Se 1.70
O (0.5305, 0.2186, 0.8834)  1 Se 1.70

# 6
## LaRh (r²SCAN)

Data for an optimized crystal structure of LaRh.

## Properties
The crystal system is orthorhombic. The space-group type is No. 63.

Lattice parameters (Å, degrees): 3.9652 4.1476 6.0749 90.00 70.95 90.00
With the nearest neighbours (Å) after each atom.
Fractional positions:
La (0.1386, 0.7500, 0.7227)  7 Rh 2.93-3.28
La (0.8614, 0.2500, 0.2773)  7 Rh 2.93-3.28
Rh (0.4116, 0.7500, 0.1768)  2 Rh 2.90, 5 La 2.93-3.13
Rh (0.5884, 0.2500, 0.8232)  2 Rh 2.90, 5 La 2.93-3.13

# 7
## Sc2Ni2Sn (r²SCAN)

Data for an optimized crystal structure of Sc2Ni2Sn.

## Properties
The crystal system is tetragonal. The space-group type is No. 127.

Lattice parameters (Å, degrees): 3.3911 7.0610 7.0610 90.00 90.00 90.00
With the nearest neighbours (Å) after each atom.
Fractional positions:
Sc (0.5000, 0.1709, 0.6709)  6 Ni 2.67-2.70
Sc (0.5000, 0.3291, 0.1709)  6 Ni 2.67-2.70
Sc (0.5000, 0.6709, 0.8291)  6 Ni 2.67-2.70
Sc (0.5000, 0.8291, 0.3291)  6 Ni 2.67-2.70
Ni (0.0000, 0.3775, 0.8775)  1 Ni 2.45, 6 Sc 2.67-2.70
Ni (0.0000, 0.1225, 0.3775)  1 Ni 2.45, 6 Sc 2.67-2.70
Ni (0.0000, 0.8775, 0.6225)  1 Ni 2.45, 6 Sc 2.67-2.70
Ni (0.0000, 0.6225, 0.1225)  1 Ni 2.45, 6 Sc 2.67-2.70
Sn (0.0000, 0.0000, 0.0000)  4 Ni 2.80, 8 Sc 3.12
Sn (0.0000, 0.5000, 0.5000)  4 Ni 2.80, 8 Sc 3.12

# 8
## Li6Hf2O7 (r²SCAN)

Data for an optimized crystal structure of Li6Hf2O7.

## Properties
The crystal system is monoclinic. The space-group type is No. 15.

Lattice parameters (Å, degrees): 5.9485 5.9485 10.0762 81.06 81.06 59.71
With the nearest neighbours (Å) after each atom.
Fractional positions:
Li (0.6629, 0.9238, 0.3948)  4 O 1.97-2.12
Li (0.9238, 0.6629, 0.8948)  4 O 1.97-2.12
Li (0.2055, 0.9171, 0.4149)  3 O 1.92-2.04
Li (0.6665, 0.4672, 0.3976)  4 O 1.97-2.16
Li (0.9171, 0.2055, 0.9149)  3 O 1.92-2.04
Li (0.4672, 0.6665, 0.8976)  4 O 1.97-2.16
Li (0.5328, 0.3335, 0.1024)  4 O 1.97-2.16
Li (0.0829, 0.7945, 0.0851)  3 O 1.92-2.04
Li (0.3335, 0.5328, 0.6024)  4 O 1.97-2.16
Li (0.7945, 0.0829, 0.5851)  3 O 1.92-2.04
Li (0.0762, 0.3371, 0.1052)  4 O 1.97-2.12
Li (0.3371, 0.0762, 0.6052)  4 O 1.97-2.12
Hf (0.5618, 0.8054, 0.1352)  6 O 2.02-2.13
Hf (0.8054, 0.5618, 0.6352)  6 O 2.02-2.13
Hf (0.1946, 0.4382, 0.3648)  6 O 2.02-2.13
Hf (0.4382, 0.1946, 0.8648)  6 O 2.02-2.13
O (0.8626, 0.6363, 0.2548)  2 Hf 2.04-2.11, 3 Li 2.12-2.24
O (0.0005, 0.2659, 0.4980)  4 Li 2.04-2.11, 2 Hf 2.11-2.13
O (0.6363, 0.8626, 0.7548)  2 Hf 2.04-2.11, 3 Li 2.12-2.24
O (0.2659, 0.0005, 0.9980)  4 Li 2.04-2.11, 2 Hf 2.11-2.13
O (0.7439, 0.4995, 0.0217)  5 Li 1.92-1.99, 1 Hf 2.02
O (0.3500, 0.6500, 0.2500)  2 Hf 2.04, 2 Li 2.24
O (0.4995, 0.7439, 0.5217)  5 Li 1.92-1.99, 1 Hf 2.02
O (0.5005, 0.2561, 0.4783)  5 Li 1.92-1.99, 1 Hf 2.02
O (0.6500, 0.3500, 0.7500)  2 Hf 2.04, 2 Li 2.24
O (0.2561, 0.5005, 0.9783)  5 Li 1.92-1.99, 1 Hf 2.02
O (0.7341, 0.9995, 0.0020)  4 Li 2.04-2.11, 2 Hf 2.11-2.13
O (0.3637, 0.1374, 0.2452)  2 Hf 2.04-2.11, 3 Li 2.12-2.24
O (0.9995, 0.7341, 0.5020)  4 Li 2.04-2.11, 2 Hf 2.11-2.13
O (0.1374, 0.3637, 0.7452)  2 Hf 2.04-2.11, 3 Li 2.12-2.24

no.,formation enthalpy at 0 K (eV per atom),total energy (eV/atom),V (Å³/f.u.)
1,-0.126,-31.0390,27.6
2,-3.615,-14.7127,53.4
3,-0.621,-34.4497,107.0
4,-1.467,-7.3273,86.3
5,-0.927,-9.6230,274.1
6,-0.784,-27.7244,47.2
7,-0.586,-14.8873,84.5
8,-2.899,-12.6611,151.5